1.
Density functional theory data (GGA-PBE) for a geometry-optimized Pr5Ge3O13 structure.

It has space group P6_3/m (No. 176), with a = 9.9299 Å, b = 9.9299 Å, c = 7.2845 Å, α = 90.00°, β = 90.00° and γ = 120.00°. The distinct sites, in fractional coordinates, are Pr at (0.0064, 0.2383, 0.2500), Pr at (0.3333, 0.6667, 0.5007), Ge at (0.0256, 0.3985, 0.7500), O at (0.0000, 0.0000, 0.2500), O at (0.0994, 0.3472, 0.5545), O at (0.1294, 0.6068, 0.7500) and O at (0.1798, 0.6894, 0.2500).



2.
Density functional theory data (GGA-PBE) for a geometry-optimized Sr2PrGeO6 structure.

The value obtained for the magnetization is 1.00 μB/f.u. Its energy above the most stable polymorph in this dataset is 0.025 eV/atom.

It has space group Fm-3m (No. 225), with a = 8.4240 Å, b = 8.4240 Å, c = 8.4240 Å, α = 90.00°, β = 90.00° and γ = 90.00°. The distinct sites, in fractional coordinates, are Sr at (0.2500, 0.2500, 0.2500), Pr at (0.0000, 0.0000, 0.0000), Ge at (0.0000, 0.0000, 0.5000) and O at (0.0000, 0.0000, 0.2743).



| no. | formation energy (eV per atom) | total energy after the MP2020 corrections (eV per atom) |
| --- | --- | --- |
| 1 | -3.0757 | -7.9375 |
| 2 | -2.7824 | -7.0295 |